Record 1
This record from Materials Project describes a relaxed Rb4PbO4 crystal. The functional is r2SCAN.

Properties
**E**: -592.39 eV per cell
**Energy relative to the elements**: -1.355 eV per atom
**SG**: P2_1/c, No. 14

a b c (Å): 11.247 7.105 11.359
angles (deg): 90.00 110.37 90.00
Element x y z (fractional)
Rb1 0.056 0.082 0.200
Rb2 0.056 0.418 0.700
Rb3 0.167 0.602 0.083
Rb4 0.167 0.898 0.583
Rb5 0.369 0.675 0.892
Rb6 0.369 0.825 0.392
Rb7 0.429 0.204 0.796
Rb8 0.429 0.296 0.296
Rb9 0.571 0.704 0.704
Rb10 0.571 0.796 0.204
Rb11 0.631 0.175 0.608
Rb12 0.631 0.325 0.108
Rb13 0.833 0.102 0.417
Rb14 0.833 0.398 0.917
Rb15 0.944 0.582 0.300
Rb16 0.944 0.918 0.800
Pb1 0.241 0.130 0.994
Pb2 0.241 0.370 0.494
Pb3 0.759 0.630 0.506
Pb4 0.759 0.870 0.006
O1 0.063 0.240 0.971
O2 0.063 0.260 0.471
O3 0.218 0.505 0.325
O4 0.218 0.995 0.825
O5 0.315 0.546 0.651
O6 0.315 0.954 0.151
O7 0.368 0.145 0.524
O8 0.368 0.355 0.024
O9 0.632 0.645 0.976
O10 0.632 0.855 0.476
O11 0.685 0.046 0.849
O12 0.685 0.454 0.349
O13 0.782 0.005 0.175
O14 0.782 0.495 0.675
O15 0.937 0.740 0.529
O16 0.937 0.760 0.029

---

Record 2
This record from Materials Project describes a relaxed Cs2Pt crystal. The functional is r2SCAN.

Properties
**E**: -203.79 eV per cell
**Energy relative to the elements**: -0.064 eV per atom
**SG**: P6_3/mmc, No. 194

a b c (Å): 5.807 5.807 7.897
angles (deg): 90.00 90.00 120.00
Element x y z (fractional)
Cs1 0.000 0.000 0.000
Cs2 0.000 0.000 0.500
Cs3 0.333 0.667 0.250
Cs4 0.667 0.333 0.750
Pt1 0.333 0.667 0.750
Pt2 0.667 0.333 0.250

---

Record 3
This record from Materials Project describes a relaxed NaLa2Se3 crystal. The functional is r2SCAN.

Properties
**E**: -118.55 eV per cell
**Energy relative to the elements**: -2.094 eV per atom
**SG**: P-3m1, No. 164

a b c (Å): 4.317 4.317 10.562
angles (deg): 90.00 90.00 120.00
Element x y z (fractional)
Na1 0.000 0.000 0.000
La1 0.333 0.667 0.671
La2 0.667 0.333 0.329
Se1 0.000 0.000 0.500
Se2 0.333 0.667 0.171
Se3 0.667 0.333 0.829

---

Record 4
This record from Materials Project describes a relaxed MgSc2Ru crystal. The functional is r2SCAN.

Properties
**E**: -54.07 eV per cell
**Energy relative to the elements**: -0.420 eV per atom
**SG**: P4/mmm, No. 123

a b c (Å): 3.259 3.259 7.623
angles (deg): 90.00 90.00 90.00
Element x y z (fractional)
Mg1 0.000 0.000 0.000
Sc1 0.500 0.500 0.301
Sc2 0.500 0.500 0.699
Ru1 0.000 0.000 0.500

---

The calculated volume results, record by record, are as follows: 213, 115, 170, 81 Å³/f.u..
The magnetic moment results, record by record, are as follows: 0.00, 0.00, 0.00, 0.00 μB/atom.